Record 1
Ta4Se9I8, optimized geometry, DFT PBE; formation enthalpy at 0 K = -0.681 eV per atom; spin magnetization = 0.0 μB per formula unit; MP2020-corrected energy = -421.6 eV per cell
1.0
-10.810 -7.400 -3.891
3.258 -10.277 10.495
-8.883 7.609 10.208
I Se Ta
32 36 16
Direct
0.556 0.403 0.260 I
0.056 0.597 0.740 I
0.803 0.109 0.156 I
0.357 0.660 0.567 I
0.857 0.340 0.433 I
0.512 0.888 0.591 I
0.611 0.153 0.537 I
0.012 0.612 0.091 I
0.293 0.642 0.949 I
0.012 0.112 0.409 I
0.111 0.347 0.037 I
0.172 0.115 0.159 I
0.793 0.358 0.051 I
0.303 0.891 0.844 I
0.111 0.847 0.463 I
0.857 0.840 0.067 I
0.957 0.849 0.703 I
0.357 0.160 0.933 I
0.056 0.097 0.760 I
0.303 0.391 0.656 I
0.172 0.615 0.341 I
0.611 0.653 0.963 I
0.672 0.385 0.659 I
0.793 0.858 0.449 I
0.803 0.609 0.344 I
0.672 0.885 0.841 I
0.556 0.903 0.240 I
0.512 0.388 0.909 I
0.457 0.651 0.203 I
0.293 0.142 0.551 I
0.957 0.349 0.797 I
0.457 0.151 0.297 I
0.109 0.424 0.487 Se
0.348 0.305 0.138 Se
0.109 0.924 0.013 Se
0.081 0.788 0.940 Se
0.581 0.712 0.440 Se
0.609 0.076 0.987 Se
0.454 0.823 0.032 Se
0.476 0.227 0.731 Se
0.723 0.761 0.649 Se
0.042 0.913 0.233 Se
0.788 0.566 0.795 Se
0.976 0.773 0.269 Se
0.288 0.934 0.295 Se
0.857 0.054 0.924 Se
0.723 0.261 0.851 Se
0.581 0.212 0.060 Se
0.223 0.239 0.351 Se
0.857 0.554 0.576 Se
0.788 0.066 0.705 Se
0.357 0.946 0.076 Se
0.454 0.323 0.468 Se
0.609 0.576 0.513 Se
0.954 0.177 0.968 Se
0.954 0.677 0.532 Se
0.348 0.805 0.362 Se
0.042 0.413 0.267 Se
0.223 0.739 0.149 Se
0.848 0.195 0.638 Se
0.848 0.695 0.862 Se
0.357 0.446 0.424 Se
0.542 0.587 0.733 Se
0.542 0.087 0.767 Se
0.081 0.288 0.560 Se
0.976 0.273 0.231 Se
0.476 0.727 0.769 Se
0.288 0.434 0.205 Se
0.384 0.321 0.306 Ta
0.167 0.798 0.298 Ta
0.546 0.209 0.890 Ta
0.384 0.821 0.194 Ta
0.046 0.791 0.110 Ta
0.261 0.814 0.001 Ta
0.546 0.709 0.610 Ta
0.667 0.202 0.702 Ta
0.046 0.291 0.390 Ta
0.167 0.298 0.202 Ta
0.261 0.314 0.499 Ta
0.884 0.179 0.806 Ta
0.761 0.686 0.501 Ta
0.667 0.702 0.798 Ta
0.761 0.186 0.999 Ta
0.884 0.679 0.694 Ta

=====

Record 2
Tc3Se4I, optimized geometry, DFT PBE; formation enthalpy at 0 K = -0.586 eV per atom; spin magnetization = 0.0 μB per formula unit; MP2020-corrected energy = -205.1 eV per cell
1.0
-0.809 -12.220 0.243
6.669 -0.439 0.134
4.650 -0.100 10.479
Tc I Se
12 4 16
Direct
0.358 0.964 0.450 Tc
0.477 0.302 0.440 Tc
0.023 0.302 0.940 Tc
0.055 0.959 0.161 Tc
0.642 0.036 0.550 Tc
0.523 0.698 0.560 Tc
0.977 0.698 0.060 Tc
0.858 0.036 0.050 Tc
0.142 0.964 0.950 Tc
0.445 0.959 0.661 Tc
0.555 0.041 0.339 Tc
0.945 0.041 0.839 Tc
0.866 0.111 0.592 I
0.366 0.889 0.908 I
0.134 0.889 0.408 I
0.634 0.111 0.092 I
0.396 0.296 0.240 Se
0.838 0.362 0.835 Se
0.434 0.732 0.343 Se
0.338 0.638 0.665 Se
0.293 0.218 0.544 Se
0.162 0.638 0.165 Se
0.104 0.296 0.740 Se
0.934 0.268 0.157 Se
0.662 0.362 0.335 Se
0.566 0.268 0.657 Se
0.707 0.782 0.456 Se
0.604 0.704 0.760 Se
0.896 0.704 0.260 Se
0.793 0.782 0.956 Se
0.207 0.218 0.044 Se
0.066 0.732 0.843 Se

=====

Record 3
Tl5Se2I, optimized geometry, DFT PBE; formation enthalpy at 0 K = -0.498 eV per atom; MP2020-corrected energy = -48.6 eV per cell
1.0
-4.423 4.423 7.065
4.423 -4.423 7.065
4.423 4.423 -7.065
Tl Se I
10 4 2
Direct
0.000 0.000 0.000 Tl
0.221 0.721 0.212 Tl
0.991 0.779 0.500 Tl
0.509 0.009 0.788 Tl
0.491 0.991 0.212 Tl
0.279 0.491 0.500 Tl
0.500 0.500 0.000 Tl
0.779 0.279 0.788 Tl
0.721 0.509 0.500 Tl
0.009 0.221 0.500 Tl
0.838 0.338 0.176 Se
0.662 0.838 0.500 Se
0.162 0.662 0.824 Se
0.338 0.162 0.500 Se
0.250 0.250 0.000 I
0.750 0.750 0.000 I

=====

Record 4
Tl6SeI4, optimized geometry, DFT PBE; formation enthalpy at 0 K = -0.734 eV per atom; spin magnetization = 0.0 μB per formula unit; MP2020-corrected energy = -63.7 eV per cell
1.0
9.498 0.000 0.000
0.000 9.498 0.000
0.000 0.000 9.985
I Tl Se
8 12 2
Direct
0.832 0.668 0.250 I
0.332 0.832 0.750 I
0.832 0.668 0.750 I
0.168 0.332 0.250 I
0.168 0.332 0.750 I
0.332 0.832 0.250 I
0.668 0.168 0.750 I
0.668 0.168 0.250 I
0.809 0.396 0.000 Tl
0.500 0.500 0.300 Tl
0.191 0.604 0.000 Tl
0.896 0.309 0.500 Tl
0.500 0.500 0.700 Tl
0.309 0.104 0.500 Tl
0.000 0.000 0.200 Tl
0.604 0.809 0.000 Tl
0.000 0.000 0.800 Tl
0.691 0.896 0.500 Tl
0.396 0.191 0.000 Tl
0.104 0.691 0.500 Tl
0.500 0.500 0.000 Se
0.000 0.000 0.500 Se

=====

Record 5
SiI3, optimized geometry, DFT PBE; formation enthalpy at 0 K = -0.656 eV per atom; MP2020-corrected energy = -101.0 eV per cell
1.0
8.503 0.000 0.000
0.000 13.285 0.000
0.000 0.000 14.726
Si I
8 24
Direct
0.451 0.250 0.353 Si
0.719 0.250 0.396 Si
0.951 0.750 0.147 Si
0.219 0.750 0.104 Si
0.549 0.750 0.647 Si
0.049 0.250 0.853 Si
0.281 0.750 0.604 Si
0.781 0.250 0.896 Si
0.397 0.098 0.263 I
0.770 0.402 0.486 I
0.118 0.750 0.742 I
0.230 0.902 0.514 I
0.730 0.098 0.986 I
0.270 0.902 0.014 I
0.103 0.098 0.763 I
0.897 0.598 0.237 I
0.209 0.250 0.993 I
0.103 0.402 0.763 I
0.603 0.598 0.737 I
0.270 0.598 0.014 I
0.882 0.250 0.258 I
0.791 0.750 0.007 I
0.230 0.598 0.514 I
0.603 0.902 0.737 I
0.730 0.402 0.986 I
0.382 0.750 0.242 I
0.618 0.250 0.758 I
0.770 0.098 0.486 I
0.397 0.402 0.263 I
0.291 0.250 0.493 I
0.709 0.750 0.507 I
0.897 0.902 0.237 I

=====

Record 6
SiI3, optimized geometry, DFT PBE; formation enthalpy at 0 K = -0.657 eV per atom; MP2020-corrected energy = -25.2 eV per cell
1.0
-7.162 1.778 -5.527
-8.477 -3.625 -0.066
-8.130 3.907 1.908
I Si
6 2
Direct
0.912 0.623 0.222 I
0.778 0.088 0.377 I
0.222 0.912 0.623 I
0.088 0.377 0.778 I
0.377 0.778 0.088 I
0.623 0.222 0.912 I
0.951 0.951 0.951 Si
0.049 0.049 0.049 Si

=====

Record 7
Zr6SiI14, optimized geometry, DFT PBE; formation enthalpy at 0 K = -1.248 eV per atom; MP2020-corrected energy = -208.5 eV per cell
1.0
7.435 -8.132 0.000
7.435 8.132 0.000
0.000 0.000 13.257
I Zr Si
28 12 2
Direct
0.637 0.886 0.990 I
0.137 0.386 0.510 I
0.249 0.751 0.500 I
0.966 0.213 0.752 I
0.103 0.603 0.750 I
0.213 0.966 0.752 I
0.386 0.137 0.510 I
0.287 0.534 0.252 I
0.847 0.847 0.736 I
0.397 0.897 0.250 I
0.347 0.347 0.764 I
0.153 0.153 0.264 I
0.363 0.114 0.010 I
0.749 0.251 0.000 I
0.897 0.397 0.250 I
0.466 0.713 0.748 I
0.787 0.034 0.248 I
0.114 0.363 0.010 I
0.713 0.466 0.748 I
0.653 0.653 0.236 I
0.614 0.863 0.490 I
0.251 0.749 0.000 I
0.603 0.103 0.750 I
0.751 0.249 0.500 I
0.034 0.787 0.248 I
0.534 0.287 0.252 I
0.863 0.614 0.490 I
0.886 0.637 0.990 I
0.358 0.358 0.397 Zr
0.453 0.678 0.385 Zr
0.822 0.047 0.885 Zr
0.047 0.822 0.885 Zr
0.547 0.322 0.615 Zr
0.142 0.142 0.897 Zr
0.858 0.858 0.103 Zr
0.178 0.953 0.115 Zr
0.322 0.547 0.615 Zr
0.953 0.178 0.115 Zr
0.678 0.453 0.385 Zr
0.642 0.642 0.603 Zr
0.000 0.000 0.000 Si
0.500 0.500 0.500 Si

=====

Record 8
Sm3I, optimized geometry, DFT PBE; formation enthalpy at 0 K = -0.193 eV per atom; energy above the lowest structure with this stoichiometry = 0 meV per atom; spin magnetization = 0.2 μB per formula unit; MP2020-corrected energy = -16.5 eV per cell
1.0
-2.432 2.432 5.424
2.432 -2.432 5.424
2.432 2.432 -5.424
Sm I
3 1
Direct
0.250 0.750 0.500 Sm
0.750 0.250 0.500 Sm
0.500 0.500 0.000 Sm
0.000 0.000 0.000 I

=====

Record 9
Sm3I, optimized geometry, DFT PBE; formation enthalpy at 0 K = -0.189 eV per atom; energy above the lowest structure with this stoichiometry = 5 meV per atom; spin magnetization = 0.0 μB per formula unit; MP2020-corrected energy = -32.9 eV per cell
1.0
5.909 3.128 -2.150
-6.212 3.070 -1.138
0.409 2.705 5.061
Sm I
6 2
Direct
0.668 0.834 0.250 Sm
0.834 0.166 0.750 Sm
0.166 0.834 0.250 Sm
0.332 0.166 0.750 Sm
0.166 0.332 0.250 Sm
0.834 0.668 0.750 Sm
0.667 0.333 0.250 I
0.333 0.667 0.750 I

=====

Record 10
SnI4, optimized geometry, DFT PBE; largest piezoelectric modulus = 0.03 C/m²; formation enthalpy at 0 K = -0.658 eV per atom; energy above the lowest structure with this stoichiometry = 19 meV per atom; MP2020-corrected energy = -13.4 eV per cell
1.0
-0.852 -2.590 -6.105
-0.928 -6.048 2.695
-6.567 1.191 0.411
I Sn
4 1
Direct
0.766 0.234 0.766 I
0.234 0.234 0.234 I
0.234 0.766 0.766 I
0.766 0.766 0.234 I
0.000 0.000 0.000 Sn

=====

Record 11
SnI4, optimized geometry, DFT PBE; formation enthalpy at 0 K = -0.677 eV per atom; energy above the lowest structure with this stoichiometry = 0 meV per atom; MP2020-corrected energy = -107.9 eV per cell
1.0
-7.595 -10.979 -0.457
9.659 -6.406 -6.640
5.239 -4.106 11.581
I Sn
32 8
Direct
0.248 0.481 0.508 I
0.252 0.981 0.508 I
0.508 0.248 0.481 I
0.253 0.753 0.747 I
0.519 0.492 0.752 I
0.747 0.253 0.753 I
0.752 0.519 0.492 I
0.981 0.508 0.252 I
0.008 0.248 0.019 I
0.747 0.247 0.253 I
0.492 0.748 0.019 I
0.019 0.492 0.748 I
0.981 0.992 0.752 I
0.247 0.247 0.247 I
0.992 0.748 0.481 I
0.992 0.752 0.981 I
0.748 0.019 0.492 I
0.748 0.481 0.992 I
0.252 0.519 0.008 I
0.753 0.747 0.253 I
0.508 0.252 0.981 I
0.481 0.992 0.748 I
0.019 0.008 0.248 I
0.752 0.981 0.992 I
0.247 0.253 0.747 I
0.519 0.008 0.252 I
0.753 0.753 0.753 I
0.492 0.752 0.519 I
0.253 0.747 0.247 I
0.481 0.508 0.248 I
0.248 0.019 0.008 I
0.008 0.252 0.519 I
0.630 0.370 0.870 Sn
0.870 0.870 0.870 Sn
0.870 0.630 0.370 Sn
0.370 0.870 0.630 Sn
0.130 0.370 0.630 Sn
0.630 0.130 0.370 Sn
0.130 0.130 0.130 Sn
0.370 0.630 0.130 Sn

=====

Record 12
ThSnI6, optimized geometry, DFT PBE; formation enthalpy at 0 K = -1.221 eV per atom; spin magnetization = 0.0 μB per formula unit; MP2020-corrected energy = -60.7 eV per cell
1.0
3.912 -6.775 0.000
3.912 6.775 0.000
0.000 0.000 14.220
I Th Sn
12 2 2
Direct
0.008 0.663 0.126 I
0.663 0.655 0.874 I
0.655 0.992 0.126 I
0.345 0.008 0.874 I
0.337 0.345 0.126 I
0.008 0.345 0.374 I
0.337 0.992 0.374 I
0.655 0.663 0.374 I
0.992 0.655 0.626 I
0.992 0.337 0.874 I
0.663 0.008 0.626 I
0.345 0.337 0.626 I
0.333 0.667 0.250 Th
0.667 0.333 0.750 Th
0.000 0.000 0.500 Sn
0.000 0.000 0.000 Sn

=====

Question: Which of these has the highest MP2020-corrected energy?
Answer: number 10

=====

Question: Which value of formation enthalpy at 0 K does entry 6 give?
Answer: -0.657 eV per atom

=====

Copy entry 2 word for word.
Tc3Se4I, optimized geometry, DFT PBE; formation enthalpy at 0 K = -0.586 eV per atom; spin magnetization = 0.0 μB per formula unit; MP2020-corrected energy = -205.1 eV per cell
1.0
-0.809 -12.220 0.243
6.669 -0.439 0.134
4.650 -0.100 10.479
Tc I Se
12 4 16
Direct
0.358 0.964 0.450 Tc
0.477 0.302 0.440 Tc
0.023 0.302 0.940 Tc
0.055 0.959 0.161 Tc
0.642 0.036 0.550 Tc
0.523 0.698 0.560 Tc
0.977 0.698 0.060 Tc
0.858 0.036 0.050 Tc
0.142 0.964 0.950 Tc
0.445 0.959 0.661 Tc
0.555 0.041 0.339 Tc
0.945 0.041 0.839 Tc
0.866 0.111 0.592 I
0.366 0.889 0.908 I
0.134 0.889 0.408 I
0.634 0.111 0.092 I
0.396 0.296 0.240 Se
0.838 0.362 0.835 Se
0.434 0.732 0.343 Se
0.338 0.638 0.665 Se
0.293 0.218 0.544 Se
0.162 0.638 0.165 Se
0.104 0.296 0.740 Se
0.934 0.268 0.157 Se
0.662 0.362 0.335 Se
0.566 0.268 0.657 Se
0.707 0.782 0.456 Se
0.604 0.704 0.760 Se
0.896 0.704 0.260 Se
0.793 0.782 0.956 Se
0.207 0.218 0.044 Se
0.066 0.732 0.843 Se

=====

Question: What is the formula in the tenth record?
Answer: SnI4